DFT (PBE) results for crystalline Ca11Ga7 at its relaxed geometry. Values from VASP.

Output
Symmetry: Fm-3m (225)
Calculated formation energy: -0.390 eV per atom
Calculated volume: 29.1 A^3/atom

```
&SYSTEM
  ibrav = 0, nat = 36, ntyp = 2
/
ATOMIC_SPECIES
Ga 69.72 Ga.upf
Ca 40.08 Ca.upf
CELL_PARAMETERS angstrom
-10.870 3.092 1.457
-3.830 9.699 -4.595
-7.245 -0.330 -8.789
ATOMIC_POSITIONS crystal
Ga 0.219 0.781 0.219
Ga 0.309 0.072 0.309
Ca 0.130 0.130 0.130
Ca 0.500 0.500 0.500
Ga 0.781 0.781 0.219
Ca 0.870 0.389 0.870
Ca 0.165 0.835 0.500
Ga 0.219 0.781 0.781
Ca 0.130 0.130 0.611
Ca 0.130 0.611 0.130
Ca 0.500 0.835 0.165
Ca 0.500 0.500 0.165
Ca 0.500 0.165 0.835
Ga 0.928 0.691 0.691
Ca 0.500 0.500 0.835
Ga 0.219 0.219 0.781
Ga 0.309 0.309 0.309
Ca 0.500 0.835 0.500
Ca 0.165 0.500 0.835
Ca 0.835 0.500 0.500
Ga 0.781 0.219 0.219
Ca 0.835 0.165 0.500
Ca 0.870 0.870 0.389
Ca 0.611 0.130 0.130
Ca 0.165 0.500 0.500
Ca 0.500 0.165 0.500
Ga 0.309 0.309 0.072
Ca 0.389 0.870 0.870
Ga 0.072 0.309 0.309
Ga 0.781 0.219 0.781
Ca 0.000 0.000 0.000
Ga 0.691 0.691 0.691
Ca 0.870 0.870 0.870
Ga 0.691 0.691 0.928
Ga 0.691 0.928 0.691
Ca 0.835 0.500 0.165
```